No. 1
# Li2NiP4O12

A relaxed structure of Li2NiP4O12 (PBE with a Hubbard U, Materials Project).

a b c (Å): 8.4938 8.4938 7.6336
angles (deg): 82.75 82.75 113.74
Positions (direct):
O 0.9831 0.7295 0.0069
O 0.8278 0.8965 0.1669
O 0.0169 0.2705 0.9931
O 0.7295 0.9831 0.5069
O 0.3768 0.9200 0.8120
O 0.6232 0.0800 0.1880
O 0.1722 0.1035 0.8331
O 0.8965 0.8278 0.6669
O 0.2705 0.0169 0.4931
O 0.1035 0.1722 0.3331
O 0.1101 0.8899 0.2500
O 0.6313 0.8350 0.8390
O 0.0800 0.6232 0.6880
O 0.3706 0.6294 0.7500
O 0.3654 0.6836 0.0712
O 0.1650 0.3687 0.6610
O 0.6836 0.3654 0.5712
O 0.3687 0.1650 0.1610
O 0.6294 0.3706 0.2500
O 0.6346 0.3164 0.9288
O 0.9200 0.3768 0.3120
O 0.8899 0.1101 0.7500
O 0.8350 0.6313 0.3390
O 0.3164 0.6346 0.4288
Ni 0.8722 0.1278 0.2500
Ni 0.1278 0.8722 0.7500
Li 0.1843 0.4832 0.2497
Li 0.8157 0.5168 0.7503
Li 0.5168 0.8157 0.2503
Li 0.4832 0.1843 0.7497
P 0.7933 0.9370 0.6718
P 0.9370 0.7933 0.1718
P 0.2067 0.0630 0.3282
P 0.5756 0.2279 0.1228
P 0.2279 0.5756 0.6228
P 0.4244 0.7721 0.8772
P 0.0630 0.2067 0.8282
P 0.7721 0.4244 0.3772

Properties
**Magnetization**: 4.00 μB/cell
**Energy relative to the lowest polymorph listed for this composition**: 0.0 meV/atom

No. 2
# NaSrLaFeO6

A relaxed structure of NaSrLaFeO6 (PBE with a Hubbard U, Materials Project).

a b c (Å): 5.9028 5.9028 5.9028
angles (deg): 60.00 60.00 60.00
Positions (direct):
Fe 0.0000 0.0000 0.0000
O 0.7762 0.2238 0.7762
O 0.2238 0.7762 0.2238
O 0.2238 0.7762 0.7762
O 0.7762 0.7762 0.2238
O 0.7762 0.2238 0.2238
O 0.2238 0.2238 0.7762
Sr 0.7500 0.7500 0.7500
La 0.5000 0.5000 0.5000
Na 0.2500 0.2500 0.2500

Properties
**Electronic total energy**: -61.5 eV/f.u.
**Magnetization**: 2.00 μB/cell

No. 3
# Mg14CdCoO16

A relaxed structure of Mg14CdCoO16 (PBE with a Hubbard U, Materials Project).

a b c (Å): 8.6118 8.6118 4.2955
angles (deg): 90.00 90.00 90.00
Positions (direct):
O 0.2345 0.5000 0.0000
O 0.0000 0.5000 0.5000
O 0.2499 0.7501 0.5000
O 0.7496 0.0000 0.0000
O 0.7501 0.7501 0.5000
O 0.5000 0.5000 0.5000
O 0.5000 0.0000 0.5000
O 0.2499 0.2499 0.5000
O 0.0000 0.0000 0.5000
O 0.7501 0.2499 0.5000
O 0.0000 0.2504 0.0000
O 0.2504 0.0000 0.0000
O 0.5000 0.2345 0.0000
O 0.0000 0.7496 0.0000
O 0.5000 0.7655 0.0000
O 0.7655 0.5000 0.0000
Co 0.0000 0.0000 0.0000
Mg 0.7556 0.5000 0.5000
Mg 0.7532 0.2468 0.0000
Mg 0.2468 0.2468 0.0000
Mg 0.5000 0.0000 0.0000
Mg 0.0000 0.7504 0.5000
Mg 0.0000 0.2496 0.5000
Mg 0.7504 0.0000 0.5000
Mg 0.5000 0.7556 0.5000
Mg 0.7532 0.7532 0.0000
Mg 0.2496 0.0000 0.5000
Mg 0.0000 0.5000 0.0000
Mg 0.2468 0.7532 0.0000
Mg 0.5000 0.2444 0.5000
Mg 0.2444 0.5000 0.5000
Cd 0.5000 0.5000 0.0000

Properties
**Magnetization**: 3.00 μB/cell
**Energy relative to the lowest polymorph listed for this composition**: 18.9 meV/atom

No. 4
# MgTl2Fe2O4

A relaxed structure of MgTl2Fe2O4 (PBE with a Hubbard U, Materials Project).

a b c (Å): 6.3733 6.1428 6.3733
angles (deg): 58.38 54.15 58.38
Positions (direct):
Tl 0.9459 0.9502 0.9459
Tl 0.2049 0.0243 0.2049
O 0.4975 0.4448 0.4975
O 0.4528 0.9873 0.4528
O 0.9735 0.5364 0.4974
O 0.4974 0.5364 0.9735
Fe 0.3638 0.3590 0.3638
Fe 0.5929 0.6098 0.5929
Mg 0.8569 0.5621 0.8569

Properties
**Magnetization**: 0.01 μB/cell
**Energy relative to the lowest polymorph listed for this composition**: 0.0 meV/atom